[1]
The following is a PBE+U calculation of crystalline TiBi8WCl2O16 at its relaxed geometry, from the Materials Project database.

Values from the calculation:
**Energy of formation**: -1.90 eV/atom
**DFT total energy**: -6.1684 eV/atom
**M_tot**: 0.00 μB/atom

a b c (Å): 14.9266 14.9266 14.9266
angles (deg): 158.76 30.60 158.23
Closest atoms and distances in Å follow each position.
Fractional coordinates of all 28 atoms:
Ti: 0.0000 0.0000 0.0000  4 O 1.84-1.96
Bi: 0.0334 0.4421 0.5912  3 O 2.25-2.26
Bi: 0.1843 0.0043 0.1799  4 O 2.22-2.27
Bi: 0.3250 0.0050 0.3201  4 O 2.24-2.25
Bi: 0.3375 0.4260 0.9115  3 O 2.17-2.25
Bi: 0.5145 0.4260 0.0885  3 O 2.17-2.25
Bi: 0.6849 0.0050 0.6799  4 O 2.24-2.25
Bi: 0.8244 0.0043 0.8201  4 O 2.22-2.27
Bi: 0.8509 0.4421 0.4088  3 O 2.25-2.26
W: 0.5208 0.0208 0.5000  6 O 1.86-2.03
Cl: 0.2605 0.5099 0.7506  8 Bi 3.40-3.50, 8 O 3.65-3.71
Cl: 0.7594 0.5099 0.2494  8 Bi 3.40-3.50, 8 O 3.65-3.71
O: 0.1193 0.0127 0.6100  3 Bi 2.24-2.27
O: 0.1193 0.5093 0.1066  3 Bi 2.24-2.27
O: 0.1231 0.0558 0.0672  1 Ti 1.96, 1 Bi 2.17
O: 0.3016 0.0539 0.7524  1 W 1.86
O: 0.3016 0.5492 0.2476  1 W 1.86
O: 0.4027 0.0127 0.8934  3 Bi 2.24-2.27
O: 0.4027 0.5093 0.3900  3 Bi 2.24-2.27
O: 0.4901 0.0583 0.4318  1 W 1.97
O: 0.6207 0.0184 0.1118  3 Bi 2.22-2.25
O: 0.6207 0.5090 0.6023  3 Bi 2.22-2.25
O: 0.6265 0.0583 0.5682  1 W 1.97
O: 0.7909 0.0473 0.2564  1 Ti 1.84, 1 W 2.03
O: 0.7909 0.5345 0.7436  1 Ti 1.84, 1 W 2.03
O: 0.9066 0.0184 0.3977  3 Bi 2.22-2.25
O: 0.9066 0.5090 0.8882  3 Bi 2.22-2.25
O: 0.9886 0.0558 0.9328  1 Ti 1.96, 1 Bi 2.17

***

[2]
The following is a PBE+U calculation of crystalline YMg6MnO8 at its relaxed geometry, from the Materials Project database.

Values from the calculation:
**Energy of formation**: -2.82 eV/atom
**DFT total energy**: -6.4207 eV/atom
**E above lowest polymorph**: 0.0 meV per atom
**M_tot**: 0.28 μB/atom

a b c (Å): 4.4418 4.4418 8.8958
angles (deg): 90.00 90.00 90.00
Closest atoms and distances in Å follow each position.
Fractional coordinates of all 16 atoms:
Y: 0.0000 0.0000 0.0000  6 O 2.22-2.33
Mg: 0.0000 0.0000 0.5000  6 O 2.12-2.22
Mg: 0.0000 0.5000 0.2657  5 O 2.08-2.22
Mg: 0.0000 0.5000 0.7343  5 O 2.08-2.22
Mg: 0.5000 0.0000 0.2657  5 O 2.08-2.22
Mg: 0.5000 0.0000 0.7343  5 O 2.08-2.22
Mg: 0.5000 0.5000 0.5000  6 O 2.10-2.22
Mn: 0.5000 0.5000 0.0000  6 O 2.22-2.35
O: 0.0000 0.0000 0.2616  5 Mg 2.12-2.22, 1 Y 2.33
O: 0.0000 0.0000 0.7384  5 Mg 2.12-2.22, 1 Y 2.33
O: 0.0000 0.5000 0.0000  2 Mn 2.22, 2 Y 2.22, 2 Mg 2.36
O: 0.0000 0.5000 0.5000  6 Mg 2.08-2.22
O: 0.5000 0.0000 0.0000  2 Mn 2.22, 2 Y 2.22, 2 Mg 2.36
O: 0.5000 0.0000 0.5000  6 Mg 2.08-2.22
O: 0.5000 0.5000 0.2642  5 Mg 2.10-2.22
O: 0.5000 0.5000 0.7358  5 Mg 2.10-2.22

***

[3]
The following is a PBE+U calculation of crystalline CaFe2P3HO12 at its relaxed geometry, from the Materials Project database.

Values from the calculation:
**Energy of formation**: -2.50 eV/atom
**DFT total energy**: -6.9824 eV/atom
**M_tot**: 0.53 μB/atom

a b c (Å): 6.4557 20.0468 9.1329
angles (deg): 90.00 133.69 90.00
Closest atoms and distances in Å follow each position.
Fractional coordinates of all 76 atoms:
Ca: 0.2042 0.0801 0.0560  8 O 2.41-2.68, 1 H 2.61
Ca: 0.2042 0.4199 0.5560  8 O 2.41-2.68, 1 H 2.61
Ca: 0.7958 0.5801 0.4440  8 O 2.41-2.68, 1 H 2.61
Ca: 0.7958 0.9199 0.9440  8 O 2.41-2.68, 1 H 2.61
Fe: 0.3127 0.0981 0.7182  5 O 1.95-2.06
Fe: 0.3127 0.4019 0.2182  5 O 1.95-2.06
Fe: 0.3384 0.7119 0.3997  5 O 1.93-2.10
Fe: 0.3384 0.7881 0.8997  5 O 1.93-2.10
Fe: 0.6616 0.2119 0.1003  5 O 1.93-2.10
Fe: 0.6616 0.2881 0.6003  5 O 1.93-2.10
Fe: 0.6873 0.5981 0.7818  5 O 1.95-2.06
Fe: 0.6873 0.9019 0.2818  5 O 1.95-2.06
P: 0.1441 0.2465 0.0882  4 O 1.54-1.58
P: 0.1441 0.2535 0.5882  4 O 1.54-1.58
P: 0.1687 0.5515 0.2837  4 O 1.54-1.59
P: 0.1687 0.9485 0.7837  4 O 1.54-1.59
P: 0.3017 0.6214 0.8839  4 O 1.52-1.61
P: 0.3017 0.8786 0.3839  4 O 1.52-1.61
P: 0.6983 0.1214 0.6161  4 O 1.52-1.61
P: 0.6983 0.3786 0.1161  4 O 1.52-1.61
P: 0.8313 0.0515 0.2163  4 O 1.54-1.59
P: 0.8313 0.4485 0.7163  4 O 1.54-1.59
P: 0.8559 0.7465 0.4118  4 O 1.54-1.58
P: 0.8559 0.7535 0.9118  4 O 1.54-1.58
H: 0.3436 0.0532 0.3949  1 O 0.99
H: 0.3436 0.4468 0.8949  1 O 0.99
H: 0.6564 0.5532 0.1051  1 O 0.99
H: 0.6564 0.9468 0.6051  1 O 0.99
O: 0.0025 0.7012 0.3688  1 P 1.55
O: 0.0025 0.7988 0.8688  1 P 1.55
O: 0.0088 0.1077 0.7234  1 P 1.53
O: 0.0088 0.3923 0.2234  1 P 1.53
O: 0.0313 0.5233 0.3563  1 P 1.54
O: 0.0313 0.9767 0.8563  1 P 1.54
O: 0.0712 0.0811 0.4302  1 P 1.55
O: 0.0712 0.4189 0.9302  1 P 1.55
O: 0.0847 0.7146 0.1092  1 P 1.54
O: 0.0847 0.7854 0.6092  1 P 1.54
O: 0.3190 0.1988 0.0739  1 P 1.55
O: 0.3190 0.3012 0.5739  1 P 1.55
O: 0.3323 0.5986 0.7379  1 P 1.55
O: 0.3323 0.9014 0.2379  1 P 1.55
O: 0.3489 0.9999 0.7837  1 P 1.55
O: 0.3489 0.5001 0.2837  1 P 1.55
O: 0.3513 0.2001 0.7607  1 P 1.58
O: 0.3513 0.2999 0.2607  1 P 1.58
O: 0.3930 0.6077 0.4357  1 P 1.59
O: 0.3930 0.8923 0.9357  1 P 1.59
O: 0.4001 0.6924 0.9592  1 P 1.52
O: 0.4001 0.8076 0.4592  1 P 1.52
O: 0.4902 0.5725 0.0769  1 H 0.99
O: 0.4902 0.9275 0.5769  1 H 0.99
O: 0.5098 0.0725 0.4231  1 H 0.99
O: 0.5098 0.4275 0.9231  1 H 0.99
O: 0.5999 0.1924 0.5408  1 P 1.52
O: 0.5999 0.3076 0.0408  1 P 1.52
O: 0.6070 0.1077 0.0643  1 P 1.59
O: 0.6070 0.3923 0.5643  1 P 1.59
O: 0.6487 0.7001 0.7393  1 P 1.58
O: 0.6487 0.7999 0.2393  1 P 1.58
O: 0.6511 0.0001 0.2163  1 P 1.55
O: 0.6511 0.4999 0.7163  1 P 1.55
O: 0.6677 0.0986 0.7621  1 P 1.55
O: 0.6677 0.4014 0.2621  1 P 1.55
O: 0.6810 0.6988 0.4261  1 P 1.55
O: 0.6810 0.8012 0.9261  1 P 1.55
O: 0.9153 0.2146 0.3908  1 P 1.54
O: 0.9153 0.2854 0.8908  1 P 1.54
O: 0.9288 0.5811 0.0698  1 P 1.55
O: 0.9288 0.9189 0.5698  1 P 1.55
O: 0.9687 0.0233 0.1437  1 P 1.54
O: 0.9687 0.4767 0.6437  1 P 1.54
O: 0.9912 0.6077 0.7766  1 P 1.53
O: 0.9912 0.8923 0.2766  1 P 1.53
O: 0.9975 0.2012 0.1312  1 P 1.55
O: 0.9975 0.2988 0.6312  1 P 1.55

***

[4]
The following is a PBE+U calculation of crystalline Al2FeP2H18O18 at its relaxed geometry, from the Materials Project database.

Values from the calculation:
**Energy of formation**: -1.82 eV/atom
**DFT total energy**: -5.7736 eV/atom
**E above lowest polymorph**: 0.0 meV per atom
**M_tot**: 0.10 μB/atom

a b c (Å): 5.2630 7.0316 10.3443
angles (deg): 96.11 101.35 110.47
Closest atoms and distances in Å follow each position.
Fractional coordinates of all 41 atoms:
Al: 0.0000 0.0000 0.0000  6 O 1.91-1.95
Al: 0.0000 0.5000 0.0000  6 O 1.89-1.98
Fe: 0.5000 0.0000 0.5000  6 O 2.10-2.20
P: 0.4912 0.0829 0.8358  4 O 1.55-1.56
P: 0.5088 0.9171 0.1642  4 O 1.55-1.56
H: 0.0451 0.0090 0.6263  1 O 0.99
H: 0.1180 0.7004 0.8309  1 O 1.01
H: 0.1753 0.5913 0.4110  1 O 0.97
H: 0.1896 0.0526 0.2941  1 O 0.99
H: 0.1999 0.5113 0.7819  1 O 1.02
H: 0.3191 0.6087 0.5632  1 O 0.99
H: 0.3375 0.3272 0.9906  1 O 0.99
H: 0.3969 0.4205 0.2275  1 O 0.98
H: 0.4247 0.3509 0.6935  1 O 1.01
H: 0.5753 0.6491 0.3065  1 O 1.01
H: 0.6031 0.5795 0.7725  1 O 0.98
H: 0.6625 0.6728 0.0094  1 O 0.99
H: 0.6809 0.3913 0.4368  1 O 0.99
H: 0.8001 0.4887 0.2181  1 O 1.02
H: 0.8104 0.9474 0.7059  1 O 0.99
H: 0.8247 0.4087 0.5890  1 O 0.97
H: 0.8820 0.2996 0.1691  1 O 1.01
H: 0.9549 0.9910 0.3737  1 O 0.99
O: 0.0528 0.5451 0.8193  2 H 1.01-1.02
O: 0.1490 0.2913 0.0068  1 H 0.99
O: 0.1611 0.0517 0.3863  2 H 0.99
O: 0.2182 0.9572 0.8755  1 P 1.56, 1 H 1.68
O: 0.2447 0.6829 0.4985  2 H 0.97-0.99
O: 0.3063 0.0343 0.1509  1 P 1.55, 1 H 1.72
O: 0.3707 0.7009 0.0711  1 P 1.55
O: 0.4114 0.1087 0.6875  1 P 1.56, 1 H 1.67
O: 0.4295 0.4964 0.7037  2 H 0.98-1.01
O: 0.5705 0.5036 0.2963  2 H 0.98-1.01
O: 0.5886 0.8913 0.3125  1 P 1.56, 1 H 1.67
O: 0.6293 0.2991 0.9289  1 P 1.55
O: 0.6937 0.9657 0.8491  1 P 1.55, 1 H 1.72
O: 0.7553 0.3171 0.5015  2 H 0.97-0.99
O: 0.7818 0.0428 0.1245  1 P 1.56, 1 H 1.68
O: 0.8389 0.9483 0.6137  2 H 0.99
O: 0.8510 0.7087 0.9932  1 H 0.99
O: 0.9472 0.4549 0.1807  2 H 1.01-1.02

***

[5]
The following is a PBE+U calculation of crystalline MgMn6O4F8 at its relaxed geometry, from the Materials Project database.

Values from the calculation:
**Energy of formation**: -2.59 eV/atom
**DFT total energy**: -6.5484 eV/atom
**E above lowest polymorph**: 34.0 meV per atom
**M_tot**: 1.47 μB/atom

a b c (Å): 5.4277 5.5794 8.3002
angles (deg): 90.80 93.68 101.15
Closest atoms and distances in Å follow each position.
Fractional coordinates of all 19 atoms:
Mg: 0.0000 0.0000 0.0000  3 F 1.92-1.97, 1 O 1.96
Mn: 0.2896 0.5948 0.2462  2 O 1.93-1.94, 3 F 2.06-2.16
Mn: 0.3158 0.2495 0.6109  3 O 1.89-2.01, 1 F 2.05
Mn: 0.3627 0.7571 0.8489  3 O 2.02-2.12, 2 F 2.21-2.25
Mn: 0.6950 0.7725 0.5568  3 O 2.08-2.30, 2 F 2.23-2.25
Mn: 0.7305 0.2800 0.3244  5 F 2.10-2.27, 1 O 2.13
Mn: 0.8056 0.4479 0.9180  1 O 2.06, 2 F 2.10-2.13
O: 0.1408 0.7101 0.0514  2 Mn 1.93-2.12, 1 Mg 1.96
O: 0.4522 0.4481 0.4240  3 Mn 1.94-2.13
O: 0.4537 0.9708 0.6595  3 Mn 1.89-2.08
O: 0.5316 0.4974 0.7451  3 Mn 1.92-2.07
F: 0.0468 0.2422 0.1803  1 Mg 1.97, 2 Mn 2.19-2.20
F: 0.0853 0.2641 0.8464  1 Mg 1.97, 1 Mn 2.10
F: 0.5335 0.9156 0.3169  2 Mn 2.06-2.10
F: 0.5844 0.4861 0.1164  3 Mn 2.13-2.27
F: 0.6525 0.0315 0.9851  1 Mg 1.92
F: 0.9620 0.1164 0.5077  3 Mn 2.05-2.23
F: 0.9641 0.7907 0.7763  1 Mg 2.16, 3 Mn 2.25-2.31
F: 0.9853 0.6147 0.3923  2 Mn 2.13-2.14

***

[6]
The following is a PBE+U calculation of crystalline Sr9Cr5O18 at its relaxed geometry, from the Materials Project database.

Values from the calculation:
**Energy of formation**: -2.78 eV/atom
**DFT total energy**: -6.8519 eV/atom
**M_tot**: 0.38 μB/atom

a b c (Å): 15.4608 15.4608 10.9410
angles (deg): 90.00 90.00 20.36
Closest atoms and distances in Å follow each position.
Fractional coordinates of all 64 atoms:
Sr: 0.0045 0.9955 0.7471  2 O 2.37
Sr: 0.0776 0.0899 0.0000  8 O 2.63-2.76
Sr: 0.0899 0.0776 0.5000  8 O 2.63-2.76
Sr: 0.2047 0.2051 0.4985  9 O 2.49-2.76
Sr: 0.2051 0.2047 0.9985  9 O 2.49-2.76
Sr: 0.2923 0.2942 0.7488  9 O 2.47-2.77
Sr: 0.2942 0.2923 0.2488  9 O 2.47-2.77
Sr: 0.4150 0.4166 0.7458  8 O 2.62-2.75
Sr: 0.4166 0.4150 0.2458  8 O 2.62-2.75
Sr: 0.5834 0.5850 0.7458  8 O 2.62-2.75
Sr: 0.5850 0.5834 0.2458  8 O 2.62-2.75
Sr: 0.7058 0.7077 0.7488  9 O 2.47-2.77
Sr: 0.7077 0.7058 0.2488  9 O 2.47-2.77
Sr: 0.7949 0.7953 0.4985  9 O 2.49-2.76
Sr: 0.7953 0.7949 0.9985  9 O 2.49-2.76
Sr: 0.9101 0.9224 0.0000  8 O 2.63-2.76
Sr: 0.9224 0.9101 0.5000  8 O 2.63-2.76
Sr: 0.9955 0.0045 0.2471  2 O 2.37
Cr: 0.1443 0.1464 0.7490  6 O 2.00-2.05
Cr: 0.1464 0.1443 0.2490  6 O 2.00-2.05
Cr: 0.3490 0.3487 0.4987  5 O 1.88-1.89
Cr: 0.3487 0.3490 0.9987  5 O 1.88-1.89
Cr: 0.4407 0.5593 0.9679  4 O 1.81-1.84
Cr: 0.5593 0.4407 0.4679  4 O 1.81-1.84
Cr: 0.6513 0.6510 0.4987  5 O 1.88-1.89
Cr: 0.6510 0.6513 0.9987  5 O 1.88-1.89
Cr: 0.8536 0.8557 0.7490  6 O 2.00-2.05
Cr: 0.8557 0.8536 0.2490  6 O 2.00-2.05
O: 0.0743 0.0813 0.7480  1 Cr 2.05
O: 0.0813 0.0743 0.2480  1 Cr 2.05
O: 0.1066 0.8934 0.9884  1 Cr 1.84
O: 0.1142 0.5982 0.6196  2 Cr 1.88-2.00
O: 0.1159 0.5986 0.1190  2 Cr 1.88-2.00
O: 0.1164 0.5999 0.8786  2 Cr 1.88-2.01
O: 0.1168 0.5978 0.3783  2 Cr 1.88-2.00
O: 0.2107 0.2136 0.7496  1 Cr 2.03
O: 0.2136 0.2107 0.2496  1 Cr 2.03
O: 0.2847 0.2886 0.9979  1 Cr 1.89
O: 0.2886 0.2847 0.4979  1 Cr 1.89
O: 0.4001 0.8836 0.8786  2 Cr 1.88-2.01
O: 0.4009 0.4937 0.5226  1 Cr 1.81
O: 0.4014 0.8841 0.1190  2 Cr 1.88-2.00
O: 0.4022 0.8832 0.3783  2 Cr 1.88-2.00
O: 0.4018 0.8858 0.6196  2 Cr 1.88-2.00
O: 0.4850 0.5150 0.8016  1 Cr 1.84
O: 0.4937 0.4009 0.0226  1 Cr 1.81
O: 0.5063 0.5991 0.5226  1 Cr 1.81
O: 0.5150 0.4850 0.3016  1 Cr 1.84
O: 0.5982 0.1142 0.1196  2 Cr 1.88-2.00
O: 0.5978 0.1168 0.8783  2 Cr 1.88-2.00
O: 0.5986 0.1159 0.6190  2 Cr 1.88-2.00
O: 0.5991 0.5063 0.0226  1 Cr 1.81
O: 0.5999 0.1164 0.3786  2 Cr 1.88-2.01
O: 0.7114 0.7153 0.9979  1 Cr 1.89
O: 0.7153 0.7114 0.4979  1 Cr 1.89
O: 0.7864 0.7893 0.7496  1 Cr 2.03
O: 0.7893 0.7864 0.2496  1 Cr 2.03
O: 0.8832 0.4022 0.8783  2 Cr 1.88-2.00
O: 0.8836 0.4001 0.3786  2 Cr 1.88-2.01
O: 0.8841 0.4014 0.6190  2 Cr 1.88-2.00
O: 0.8858 0.4018 0.1196  2 Cr 1.88-2.00
O: 0.8934 0.1066 0.4884  1 Cr 1.84
O: 0.9187 0.9257 0.7480  1 Cr 2.05
O: 0.9257 0.9187 0.2480  1 Cr 2.05

***

> The highest energy of formation belongs to which entry?

Al2FeP2H18O18